Entry 1:
VASP calculation (PBE-GGA) on crystalline Ba4Ce2In2O11 at its relaxed geometry. Values from VASP.

```
&SYSTEM
  ibrav = 0, nat = 19, ntyp = 4
/
ATOMIC_SPECIES
O 16.00 O.upf
In 114.82 In.upf
Ba 137.33 Ba.upf
Ce 140.12 Ce.upf
ATOMIC_POSITIONS crystal
O 0.261 0.750 0.950
O 0.058 0.481 0.250
O 0.746 0.234 0.488
O 0.261 0.750 0.550
O 0.409 0.985 0.250
O 0.746 0.234 0.012
O 0.932 0.511 0.750
O 0.744 0.750 0.470
O 0.744 0.750 0.030
O 0.259 0.240 0.945
O 0.259 0.240 0.555
In 0.487 0.995 0.479
In 0.487 0.995 0.021
Ba 0.976 0.998 0.250
Ba 0.494 0.494 0.750
Ba 0.507 0.509 0.250
Ba 0.012 0.995 0.750
Ce 0.002 0.495 0.504
Ce 0.002 0.495 0.996
CELL_PARAMETERS angstrom
-5.442 2.489 -1.427
-1.743 -0.431 5.860
3.284 8.080 1.571
```

Computed properties:
Energy relative to the elements ... -3.02 eV per atom
Space-group type ... Pm, No. 6
Total magnetic moment ... 0.00 μB/cell

Entry 2:
VASP calculation (PBE-GGA) on crystalline BaCeMg14 at its relaxed geometry. Values from VASP.

```
&SYSTEM
  ibrav = 0, nat = 16, ntyp = 3
/
ATOMIC_SPECIES
Mg 24.30 Mg.upf
Ce 140.12 Ce.upf
Ba 137.33 Ba.upf
ATOMIC_POSITIONS crystal
Mg 0.155 0.845 0.764
Mg 0.662 0.338 0.249
Mg 0.339 0.164 0.500
Mg 0.836 0.661 0.500
Mg 0.662 0.338 0.751
Mg 0.832 0.661 0.000
Mg 0.155 0.321 0.227
Mg 0.679 0.845 0.773
Mg 0.832 0.168 0.000
Mg 0.155 0.845 0.236
Mg 0.679 0.845 0.227
Mg 0.155 0.321 0.773
Mg 0.334 0.666 0.000
Mg 0.339 0.168 0.000
Ce 0.845 0.155 0.500
Ba 0.341 0.659 0.500
CELL_PARAMETERS angstrom
-4.649 2.433 -4.136
3.403 -5.340 -2.131
-7.258 -6.382 4.404
```

Computed properties:
Energy relative to the elements ... 0.10 eV per atom
Space-group type ... Amm2, No. 38
Total magnetic moment ... 0.04 μB/cell

Entry 3:
VASP calculation (PBE-GGA) on crystalline BaCeMg14 at its relaxed geometry. Values from VASP.

```
&SYSTEM
  ibrav = 0, nat = 16, ntyp = 3
/
ATOMIC_SPECIES
Mg 24.30 Mg.upf
Ba 137.33 Ba.upf
Ce 140.12 Ce.upf
ATOMIC_POSITIONS crystal
Mg 0.184 0.842 0.625
Mg 0.664 0.328 0.125
Mg 0.342 0.158 0.366
Mg 0.658 0.316 0.625
Mg 0.172 0.836 0.125
Mg 0.342 0.685 0.884
Mg 0.342 0.158 0.884
Mg 0.815 0.158 0.366
Mg 0.658 0.842 0.625
Mg 0.815 0.158 0.884
Mg 0.664 0.836 0.125
Mg 0.342 0.685 0.366
Mg 0.833 0.667 0.876
Mg 0.833 0.667 0.374
Ba 0.167 0.333 0.625
Ce 0.167 0.333 0.125
CELL_PARAMETERS angstrom
6.834 0.000 0.000
-3.417 5.918 0.000
0.000 0.000 10.602
```

Computed properties:
Energy relative to the elements ... 0.09 eV per atom
Space-group type ... P-6m2, No. 187
Total magnetic moment ... 1.12 μB/cell

Entry 4:
VASP calculation (PBE-GGA) on crystalline Ba2CeMgNbO6 at its relaxed geometry. Values from VASP.

```
&SYSTEM
  ibrav = 0, nat = 11, ntyp = 5
/
ATOMIC_SPECIES
Ba 137.33 Ba.upf
O 16.00 O.upf
Nb 92.91 Nb.upf
Mg 24.30 Mg.upf
Ce 140.12 Ce.upf
ATOMIC_POSITIONS crystal
Ba 0.812 0.621 0.754
Ba 0.188 0.379 0.246
O 0.285 0.748 0.233
O 0.715 0.252 0.767
O 0.720 0.311 0.249
O 0.266 0.252 0.767
O 0.734 0.748 0.233
O 0.280 0.689 0.751
Nb 0.500 0.500 0.500
Mg 0.500 0.000 0.000
Ce 0.000 0.000 0.000
CELL_PARAMETERS angstrom
-6.043 0.752 0.135
-2.724 1.575 6.095
-2.342 5.576 1.003
```

Computed properties:
Energy relative to the elements ... -2.76 eV per atom
Space-group type ... P-1, No. 2
Total magnetic moment ... 1.26 μB/cell